No. 1
The following is a DFT calculation (PBE) of a relaxed structure of BeCl2.

Properties
E_form ... -1.8110 eV/atom

Lattice parameters (Å, degrees): 9.8549 9.8549 9.8549 90.00 90.00 90.00
Closest atoms and distances in Å follow each position.
Space group I-43m (No. 217)
One atom of each set of equivalent atoms:
Be 0.0000 0.2500 0.5000 [12 per cell]  4 Cl 2.05
Cl 0.1081 0.3657 0.3657 [24 per cell]  2 Be 2.05

No. 2
The following is a DFT calculation (PBE) of a relaxed structure of Pr3Ge5.

Properties
E_form ... -0.7322 eV/atom

Lattice parameters (Å, degrees): 6.0089 18.0859 14.2204 90.00 90.00 90.00
Closest atoms and distances in Å follow each position.
Space group Fdd2 (No. 43)
One atom of each set of equivalent atoms:
Pr 0.0000 0.0000 0.0000 [8 per cell]  8 Ge 3.11-3.20
Pr 0.0150 0.1676 0.5069 [16 per cell]  9 Ge 3.07-3.36
Ge 0.0000 0.0000 0.4440 [8 per cell]  2 Ge 2.67
Ge 0.0009 0.1628 0.0853 [16 per cell]  3 Ge 2.59-2.71
Ge 0.0548 0.1826 0.9065 [16 per cell]  2 Ge 2.59-2.71

No. 3
The following is a DFT calculation (PBE) of a relaxed structure of Dy2MgCd.

Properties
E_form ... -0.1907 eV/atom

Lattice parameters (Å, degrees): 7.5380 7.5380 7.5380 90.00 90.00 90.00
Closest atoms and distances in Å follow each position.
Space group Fm-3m (No. 225)
One atom of each set of equivalent atoms:
Dy 0.2500 0.2500 0.2500 [8 per cell]  4 Cd 3.26, 4 Mg 3.26
Mg 0.0000 0.0000 0.0000 [4 per cell]  8 Dy 3.26
Cd 0.0000 0.0000 0.5000 [4 per cell]  8 Dy 3.26